# 1
Li3SbP2O8 PBE-GGA optimized geometry; excess energy over the best structure of this formula in the dataset = 26 meV/atom; ΔH_f (0 K) = -2496 meV/atom; total magnetization = 0.00 μB/atom; symmetry = No. 14; volume = 625 Å³/cell
1.0
5.087 0.000 0.000
0.000 18.943 0.000
-4.992 0.000 6.489
Li Sb P O
12 4 8 32
direct
0.035 0.046 0.303
0.035 0.454 0.803
0.264 0.616 0.997
0.264 0.884 0.497
0.379 0.201 0.678
0.379 0.299 0.178
0.621 0.701 0.822
0.621 0.799 0.322
0.736 0.116 0.503
0.736 0.384 0.003
0.965 0.546 0.197
0.965 0.954 0.697
0.180 0.124 0.984
0.180 0.376 0.484
0.820 0.624 0.516
0.820 0.876 0.016
0.108 0.715 0.293
0.108 0.785 0.793
0.466 0.035 0.757
0.466 0.465 0.257
0.534 0.535 0.743
0.534 0.965 0.243
0.892 0.215 0.207
0.892 0.285 0.707
0.039 0.677 0.107
0.039 0.823 0.607
0.139 0.056 0.726
0.139 0.444 0.226
0.161 0.703 0.784
0.161 0.797 0.284
0.182 0.204 0.191
0.182 0.296 0.691
0.226 0.556 0.524
0.226 0.944 0.024
0.440 0.689 0.499
0.440 0.811 0.999
0.450 0.548 0.235
0.450 0.952 0.735
0.463 0.070 0.587
0.463 0.430 0.087
0.537 0.570 0.913
0.537 0.930 0.413
0.550 0.048 0.265
0.550 0.452 0.765
0.560 0.189 0.001
0.560 0.311 0.501
0.774 0.056 0.976
0.774 0.444 0.476
0.818 0.704 0.309
0.818 0.796 0.809
0.839 0.203 0.716
0.839 0.297 0.216
0.861 0.556 0.774
0.861 0.944 0.274
0.961 0.177 0.393
0.961 0.323 0.893

---

# 2
Pr2CuGe6 PBE-GGA optimized geometry; ΔH_f (0 K) = -448 meV/atom; total magnetization = 0.00 μB/atom; symmetry = No. 38; volume = 192 Å³/cell
1.0
4.194 0.000 0.000
0.000 2.069 11.037
0.000 -2.069 11.037
Pr Cu Ge
2 1 6
direct
0.000 0.000 0.000
0.000 0.333 0.333
0.500 0.777 0.777
0.000 0.606 0.606
0.000 0.719 0.719
0.500 0.105 0.105
0.500 0.218 0.218
0.500 0.453 0.453
0.500 0.885 0.885

---

# 3
BIrPd PBE-GGA optimized geometry; ΔH_f (0 K) = -284 meV/atom; symmetry = No. 43; volume = 152 Å³/cell
1.0
0.000 5.125 3.349
4.427 0.000 3.349
4.427 5.125 0.000
B Ir Pd
4 4 4
direct
0.175 0.825 0.294
0.544 0.956 0.425
0.825 0.175 0.706
0.956 0.544 0.075
0.126 0.834 0.638
0.612 0.849 0.124
0.834 0.126 0.401
0.849 0.612 0.416
0.290 0.348 0.479
0.348 0.290 0.883
0.367 0.771 0.902
0.771 0.367 0.960

---

Question: Which value of volume does entry 1 give?
Answer: 625 Å³/cell